<a>
ZnAg2O4: relaxed, PBE.

a = 3.1864 Å, b = 10.8173 Å, c = 9.8980 Å
α = 90.00°, β = 90.00°, γ = 90.00°
Closest atoms and distances in Å follow each position.
Space group Pbcm (No. 57)
Asymmetric unit:
1 Zn 0.1851 0.1512 0.2500 [4 per cell]  4 O 2.12-2.18
2 Ag 0.3232 0.6155 0.5706 [8 per cell]  4 O 2.00-2.09
3 O 0.0459 0.2500 0.0000 [4 per cell]  2 Ag 2.00
4 O 0.3027 0.7153 0.7500 [4 per cell]  2 Ag 2.08, 2 Zn 2.12-2.18
5 O 0.3748 0.5485 0.1238 [8 per cell]  2 Ag 2.06-2.09, 1 Zn 2.18


<b>
ZnAg2O4: relaxed, PBE.

a = 6.3928 Å, b = 6.3928 Å, c = 15.4879 Å
α = 90.00°, β = 90.00°, γ = 120.00°
Closest atoms and distances in Å follow each position.
Space group P3m1 (No. 156)
Asymmetric unit:
1 Zn 0.0000 0.0000 0.0000 [1 per cell]  4 O 2.01-2.02
2 Zn 0.0000 0.0000 0.2442 [1 per cell]  4 O 1.99-2.04
3 Zn 0.3333 0.6667 0.5788 [1 per cell]  4 O 2.01-2.06
4 Zn 0.6667 0.3333 0.2879 [1 per cell]  6 O 2.14-2.16
5 Zn 0.6667 0.3333 0.6671 [1 per cell]  4 O 1.95-2.01
6 Zn 0.6667 0.3333 0.9137 [1 per cell]  4 O 2.00-2.02
7 Ag 0.0000 0.0000 0.6240 [1 per cell]  6 O 2.22-2.25
8 Ag 0.1666 0.3333 0.7901 [3 per cell]  6 O 2.21-2.24
9 Ag 0.3333 0.6667 0.3319 [1 per cell]  4 O 2.15-2.21
10 Ag 0.3333 0.6667 0.9567 [1 per cell]  6 O 2.23
11 Ag 0.3364 0.1682 0.4562 [3 per cell]  6 O 2.09-2.27
12 Ag 0.5025 0.0050 0.1234 [3 per cell]  6 O 2.16-2.21
13 O 0.0000 0.0000 0.3726 [1 per cell]  1 Zn 1.99
14 O 0.0000 0.0000 0.8703 [1 per cell]  1 Zn 2.01, 3 Ag 2.22
15 O 0.0083 0.5042 0.8716 [3 per cell]  1 Zn 2.00, 3 Ag 2.22-2.23
16 O 0.1590 0.3180 0.5331 [3 per cell]  1 Zn 2.06, 3 Ag 2.17-2.25
17 O 0.1719 0.3437 0.0431 [3 per cell]  1 Zn 2.02, 3 Ag 2.21-2.23
18 O 0.3237 0.1618 0.7088 [3 per cell]  1 Zn 2.01, 3 Ag 2.21-2.22
19 O 0.3333 0.6667 0.1927 [1 per cell]  4 Ag 2.15-2.16
20 O 0.3333 0.6667 0.7086 [1 per cell]  1 Zn 2.01, 3 Ag 2.24
21 O 0.3533 0.1767 0.2075 [3 per cell]  2 Zn 2.04-2.14, 2 Ag 2.20
22 O 0.5211 0.0423 0.3804 [3 per cell]  3 Ag 2.09-2.21, 1 Zn 2.16
23 O 0.6667 0.3333 0.0439 [1 per cell]  1 Zn 2.02, 3 Ag 2.20
24 O 0.6667 0.3333 0.5413 [1 per cell]  1 Zn 1.95


<c>
ZnAg2O4: relaxed, PBE.

a = 5.5930 Å, b = 6.3340 Å, c = 11.0288 Å
α = 78.03°, β = 88.54°, γ = 89.78°
Closest atoms and distances in Å follow each position.
Space group P-1 (No. 2)
Asymmetric unit:
1 Zn 0.0084 0.2523 0.2503 [2 per cell]  4 O 1.99-2.22
2 Zn 0.3009 0.2483 0.7502 [2 per cell]  4 O 1.99-2.23
3 Ag 0.0451 0.7321 0.0314 [2 per cell]  4 O 2.02-2.18
4 Ag 0.0477 0.7700 0.4648 [2 per cell]  4 O 2.01-2.19
5 Ag 0.5000 0.0000 0.0000 [1 per cell]  4 O 2.02-2.09
6 Ag 0.5000 0.0000 0.5000 [1 per cell]  4 O 2.11-2.12
7 Ag 0.5000 0.5000 0.0000 [1 per cell]  4 O 2.09-2.12
8 Ag 0.5000 0.5000 0.5000 [1 per cell]  4 O 2.03-2.09
9 O 0.1252 0.0360 0.6732 [2 per cell]  2 Zn 1.99-2.00, 1 Ag 2.01
10 O 0.1382 0.4659 0.8307 [2 per cell]  2 Zn 1.99-2.01, 1 Ag 2.02
11 O 0.2130 0.5572 0.6043 [2 per cell]  2 Ag 2.03-2.06
12 O 0.2224 0.9531 0.8950 [2 per cell]  2 Ag 2.02-2.07, 1 Zn 2.23
13 O 0.2342 0.2777 0.0876 [2 per cell]  2 Ag 2.07-2.12, 1 Zn 2.15
14 O 0.2374 0.2184 0.4142 [2 per cell]  2 Ag 2.06-2.12, 1 Zn 2.22
15 O 0.3956 0.7088 0.1154 [2 per cell]  3 Ag 2.09-2.18, 1 Zn 2.34
16 O 0.4091 0.7904 0.3823 [2 per cell]  3 Ag 2.09-2.19, 1 Zn 2.20


<d>
ZnAg2O4: relaxed, PBE.

a = 9.7443 Å, b = 3.1112 Å, c = 11.0140 Å
α = 90.00°, β = 90.00°, γ = 90.00°
Closest atoms and distances in Å follow each position.
Space group Pnma (No. 62)
Asymmetric unit:
1 Zn 0.2383 0.2500 0.1589 [4 per cell]  4 O 2.12-2.16
2 Ag 0.0689 0.7500 0.8874 [4 per cell]  2 O 2.04-2.11
3 Ag 0.0846 0.7500 0.3928 [4 per cell]  6 O 2.09-2.22
4 O 0.0251 0.2500 0.2777 [4 per cell]  3 Ag 2.04-2.09
5 O 0.1183 0.2500 0.5331 [4 per cell]  3 Ag 2.14-2.22
6 O 0.1282 0.7500 0.0718 [4 per cell]  1 Ag 2.11, 2 Zn 2.12
7 O 0.2275 0.2500 0.7921 [4 per cell]  1 Ag 2.14, 2 Zn 2.16


Going by the computed energies, the most stable comes first: <a>, <b>, <c>, <d>.


<a>
ZnAg2O4: relaxed, PBE.

a = 6.4292 Å, b = 6.4292 Å, c = 8.7158 Å
α = 90.00°, β = 90.00°, γ = 90.00°
Closest atoms and distances in Å follow each position.
Space group I4_1/a (No. 88, origin choice 2)
Asymmetric unit:
1 Zn 0.0000 0.2500 0.1250 [4 per cell]  4 O 2.02
2 Ag 0.0000 0.0000 0.5000 [8 per cell]  4 O 2.07
3 O 0.0630 0.4898 0.2667 [16 per cell]  1 Zn 2.02, 2 Ag 2.07


<b>
ZnAg2O4: relaxed, PBE.

a = 3.2603 Å, b = 7.8713 Å, c = 8.1081 Å
α = 98.99°, β = 98.33°, γ = 101.56°
Closest atoms and distances in Å follow each position.
Space group P-1 (No. 2)
Asymmetric unit:
1 Zn 0.1988 0.1951 0.3069 [2 per cell]  5 O 2.02-2.17
2 Ag 0.1679 0.4581 0.6787 [2 per cell]  4 O 1.98-2.12
3 Ag 0.4257 0.1842 0.9666 [2 per cell]  4 O 1.99-2.11
4 O 0.0689 0.2376 0.7696 [2 per cell]  2 Ag 1.98-1.99
5 O 0.1975 0.6783 0.5569 [2 per cell]  2 Zn 2.08-2.11, 2 Ag 2.10-2.12
6 O 0.3392 0.3839 0.1434 [2 per cell]  2 Ag 2.04-2.05, 1 Zn 2.17
7 O 0.3830 0.9323 0.8257 [2 per cell]  2 Zn 2.02-2.16, 2 Ag 2.10-2.11


Going by the computed energies, the most stable comes first: <a>, <b>.


<a>
ZnAg2O4: relaxed, PBE.

a = 3.0983 Å, b = 10.5975 Å, c = 9.9718 Å
α = 90.00°, β = 90.00°, γ = 90.00°
Closest atoms and distances in Å follow each position.
Space group Cmcm (No. 63)
Asymmetric unit:
1 Zn 0.0000 0.1097 0.2500 [4 per cell]  6 O 2.10-2.30
2 Ag 0.0000 0.3694 0.0720 [8 per cell]  6 O 2.10-2.32
3 O 0.0000 0.0000 0.0000 [4 per cell]  4 Ag 2.20
4 O 0.0000 0.2872 0.6201 [8 per cell]  3 Ag 2.11-2.32, 2 Zn 2.30
5 O 0.0000 0.4756 0.2500 [4 per cell]  2 Ag 2.10, 2 Zn 2.10


<b>
ZnAg2O4: relaxed, PBE.

a = 10.8222 Å, b = 6.5063 Å, c = 20.9752 Å
α = 90.00°, β = 98.79°, γ = 90.00°
Closest atoms and distances in Å follow each position.
Space group Cm (No. 8)
Asymmetric unit:
1 Zn 0.0000 0.0000 0.0000 [2 per cell]  6 O 2.08-2.18
2 Zn 0.0008 0.5000 0.5001 [2 per cell]  6 O 2.15-2.17
3 Zn 0.1240 0.0000 0.8762 [2 per cell]  6 O 2.07-2.20
4 Zn 0.2322 0.5000 0.6548 [2 per cell]  4 O 2.00-2.07
5 Zn 0.2497 0.5000 0.2481 [2 per cell]  6 O 2.06-2.23
6 Zn 0.2513 0.0000 0.7525 [2 per cell]  6 O 2.10-2.23
7 Zn 0.3752 0.5000 0.1241 [2 per cell]  6 O 2.09-2.20
8 Zn 0.4832 0.5000 0.4069 [2 per cell]  4 O 1.99-2.07
9 Ag 0.0015 0.2463 0.7504 [4 per cell]  6 O 2.08-2.29
10 Ag 0.0176 0.5000 0.0920 [2 per cell]  4 O 2.16-2.20
11 Ag 0.0210 0.0000 0.5937 [2 per cell]  4 O 2.09-2.21
12 Ag 0.1247 0.5000 0.3748 [2 per cell]  6 O 2.11-2.32
13 Ag 0.2335 0.0000 0.1582 [2 per cell]  4 O 2.17-2.20
14 Ag 0.2499 0.2497 0.0000 [4 per cell]  6 O 2.08-2.15
15 Ag 0.2500 0.2514 0.4999 [4 per cell]  6 O 2.10-2.26
16 Ag 0.2673 0.5000 0.8425 [2 per cell]  4 O 2.11-2.18
17 Ag 0.2718 0.0000 0.3429 [2 per cell]  4 O 2.13-2.21
18 Ag 0.3767 0.0000 0.6267 [2 per cell]  6 O 2.10-2.27
19 Ag 0.4825 0.0000 0.9073 [2 per cell]  4 O 2.19-2.26
20 Ag 0.4983 0.2544 0.2496 [4 per cell]  6 O 2.07-2.20
21 O 0.0525 0.0000 0.1916 [2 per cell]  3 Ag 2.14-2.18, 1 Zn 2.20
22 O 0.0599 0.5000 0.1962 [2 per cell]  3 Ag 2.16, 1 Zn 2.17
23 O 0.0652 0.0000 0.7002 [2 per cell]  3 Ag 2.09-2.21, 1 Zn 2.14
24 O 0.0687 0.5000 0.6878 [2 per cell]  1 Zn 2.00
25 O 0.0712 0.2706 0.4402 [4 per cell]  2 Zn 2.07-2.16, 2 Ag 2.14-2.17
26 O 0.0768 0.2118 0.9424 [4 per cell]  2 Zn 2.07-2.09, 2 Ag 2.08-2.21
27 O 0.1721 0.2139 0.8101 [4 per cell]  2 Ag 2.08-2.18, 2 Zn 2.09-2.11
28 O 0.1716 0.2842 0.3075 [4 per cell]  3 Ag 2.09-2.21, 1 Zn 2.14
29 O 0.1867 0.5000 0.5557 [2 per cell]  2 Zn 2.06-2.17, 2 Ag 2.17
30 O 0.1892 0.0000 0.0536 [2 per cell]  3 Ag 2.14-2.17, 1 Zn 2.18
31 O 0.1944 0.0000 0.5616 [2 per cell]  4 Ag 2.09-2.23
32 O 0.1976 0.5000 0.0575 [2 per cell]  3 Ag 2.15-2.18, 1 Zn 2.20
33 O 0.3022 0.0000 0.9422 [2 per cell]  3 Ag 2.15-2.19, 1 Zn 2.20
34 O 0.3100 0.5000 0.9468 [2 per cell]  3 Ag 2.13-2.17, 1 Zn 2.18
35 O 0.3125 0.0000 0.4493 [2 per cell]  3 Ag 2.12-2.21, 1 Zn 2.15
36 O 0.3193 0.5000 0.4390 [2 per cell]  1 Zn 1.99
37 O 0.3230 0.2337 0.6899 [4 per cell]  2 Zn 2.07-2.23, 2 Ag 2.15
38 O 0.3267 0.2896 0.1922 [4 per cell]  2 Zn 2.06-2.10, 2 Ag 2.07-2.20
39 O 0.4223 0.2172 0.5600 [4 per cell]  3 Ag 2.10-2.19, 1 Zn 2.15
40 O 0.4230 0.2878 0.0572 [4 per cell]  2 Ag 2.08-2.20, 2 Zn 2.08-2.09
41 O 0.4373 0.0000 0.7987 [2 per cell]  1 Zn 2.10, 3 Ag 2.11-2.26
42 O 0.4367 0.5000 0.3096 [2 per cell]  2 Zn 2.02-2.23, 2 Ag 2.20
43 O 0.4423 0.0000 0.3044 [2 per cell]  4 Ag 2.13-2.28
44 O 0.4450 0.5000 0.8129 [2 per cell]  3 Ag 2.11-2.21, 1 Zn 2.17


Going by the computed energies, the most stable comes first: <b>, <a>.


<a>
ZnAg2O4: relaxed, PBE.

a = 10.8921 Å, b = 6.4955 Å, c = 15.5026 Å
α = 90.00°, β = 91.05°, γ = 90.00°
Closest atoms and distances in Å follow each position.
Space group Cm (No. 8)
Asymmetric unit:
1 Zn 0.0000 0.0000 0.0000 [2 per cell]  6 O 2.11-2.21
2 Zn 0.9997 0.5000 0.4962 [2 per cell]  6 O 2.10-2.19
3 Zn 0.1660 0.5000 0.6612 [2 per cell]  6 O 2.07-2.23
4 Zn 0.1677 0.0000 0.1645 [2 per cell]  6 O 2.09-2.19
5 Zn 0.3337 0.0000 0.3304 [2 per cell]  6 O 2.10-2.18
6 Zn 0.4889 0.0000 0.8725 [2 per cell]  4 O 2.00-2.07
7 Ag 0.0093 0.5000 0.1197 [2 per cell]  4 O 2.11-2.19
8 Ag 0.0836 0.2498 0.3303 [4 per cell]  6 O 2.08-2.15
9 Ag 0.1569 0.0000 0.5404 [2 per cell]  4 O 2.15-2.22
10 Ag 0.1727 0.0000 0.7869 [2 per cell]  4 O 2.12-2.22
11 Ag 0.2489 0.2474 0.9971 [4 per cell]  6 O 2.07-2.27
12 Ag 0.3238 0.5000 0.2089 [2 per cell]  4 O 2.18-2.27
13 Ag 0.3330 0.5000 0.8313 [2 per cell]  6 O 2.10-2.29
14 Ag 0.3432 0.5000 0.4530 [2 per cell]  4 O 2.18-2.20
15 Ag 0.4184 0.2448 0.6638 [4 per cell]  6 O 2.06-2.19
16 O 0.0003 0.5000 0.7433 [2 per cell]  2 Zn 2.01-2.23, 2 Ag 2.19
17 O 0.0044 0.5000 0.2594 [2 per cell]  3 Ag 2.14-2.17, 1 Zn 2.18
18 O 0.0143 0.0000 0.2535 [2 per cell]  3 Ag 2.14-2.18, 1 Zn 2.19
19 O 0.0699 0.2864 0.5878 [4 per cell]  2 Ag 2.06-2.22, 2 Zn 2.07-2.12
20 O 0.0983 0.2170 0.0757 [4 per cell]  2 Ag 2.07-2.19, 2 Zn 2.10-2.11
21 O 0.1528 0.5000 0.4074 [2 per cell]  3 Ag 2.15-2.18, 1 Zn 2.18
22 O 0.1628 0.5000 0.9154 [2 per cell]  1 Zn 2.00
23 O 0.1638 0.0000 0.4016 [2 per cell]  3 Ag 2.14-2.15, 1 Zn 2.17
24 O 0.1693 0.0000 0.9292 [2 per cell]  3 Ag 2.10-2.21, 1 Zn 2.16
25 O 0.2369 0.2148 0.2535 [4 per cell]  2 Ag 2.08-2.20, 2 Zn 2.09-2.11
26 O 0.2656 0.2838 0.7418 [4 per cell]  3 Ag 2.09-2.22, 1 Zn 2.16
27 O 0.3236 0.0000 0.0790 [2 per cell]  3 Ag 2.11-2.20, 1 Zn 2.17
28 O 0.3297 0.5000 0.0628 [2 per cell]  1 Zn 2.11, 3 Ag 2.11-2.27
29 O 0.3385 0.5000 0.5934 [2 per cell]  3 Ag 2.16-2.18, 1 Zn 2.17
30 O 0.3461 0.0000 0.5851 [2 per cell]  3 Ag 2.15-2.16, 1 Zn 2.19
31 O 0.4079 0.2679 0.9170 [4 per cell]  2 Zn 2.07-2.21, 2 Ag 2.15-2.16
32 O 0.4303 0.2153 0.4068 [4 per cell]  2 Ag 2.08-2.20, 2 Zn 2.10
33 O 0.4889 0.5000 0.7394 [2 per cell]  4 Ag 2.12-2.24


<b>
ZnAg2O4: relaxed, PBE.

a = 6.4068 Å, b = 6.4068 Å, c = 15.3618 Å
α = 90.00°, β = 90.00°, γ = 120.00°
Closest atoms and distances in Å follow each position.
Space group P3m1 (No. 156)
Asymmetric unit:
1 Zn 0.0000 0.0000 0.0000 [1 per cell]  4 O 1.94-2.01
2 Zn 0.0000 0.0000 0.2400 [1 per cell]  4 O 2.00-2.03
3 Zn 0.0000 0.0000 0.6184 [1 per cell]  6 O 2.15
4 Zn 0.3333 0.6667 0.5719 [1 per cell]  4 O 1.97-2.08
5 Zn 0.6667 0.3333 0.2858 [1 per cell]  6 O 2.13-2.15
6 Zn 0.6667 0.3333 0.9071 [1 per cell]  4 O 2.02-2.06
7 Ag 0.1650 0.3300 0.7867 [3 per cell]  6 O 2.08-2.29
8 Ag 0.3317 0.1658 0.4535 [3 per cell]  6 O 2.09-2.24
9 Ag 0.3333 0.6667 0.3302 [1 per cell]  4 O 2.14-2.21
10 Ag 0.3333 0.6667 0.9547 [1 per cell]  6 O 2.24-2.27
11 Ag 0.5028 0.0056 0.1207 [3 per cell]  6 O 2.17-2.22
12 Ag 0.6667 0.3333 0.6657 [1 per cell]  4 O 2.08-2.20
13 O 0.0000 0.0000 0.3703 [1 per cell]  1 Zn 2.00, 3 Ag 2.24
14 O 0.0000 0.0000 0.8737 [1 per cell]  1 Zn 1.94
15 O 0.0159 0.5079 0.8620 [3 per cell]  1 Zn 2.06, 3 Ag 2.15-2.27
16 O 0.1539 0.3078 0.5331 [3 per cell]  2 Zn 2.08-2.15, 2 Ag 2.16
17 O 0.1715 0.3430 0.0415 [3 per cell]  1 Zn 2.01, 3 Ag 2.21-2.24
18 O 0.2906 0.1453 0.7111 [3 per cell]  3 Ag 2.08-2.20, 1 Zn 2.15
19 O 0.3333 0.6667 0.1909 [1 per cell]  4 Ag 2.14-2.17
20 O 0.3333 0.6667 0.7000 [1 per cell]  1 Zn 1.97
21 O 0.3538 0.1769 0.2052 [3 per cell]  2 Zn 2.03-2.13, 2 Ag 2.20
22 O 0.5211 0.0423 0.3786 [3 per cell]  3 Ag 2.09-2.21, 1 Zn 2.15
23 O 0.6667 0.3333 0.0383 [1 per cell]  1 Zn 2.02, 3 Ag 2.22
24 O 0.6667 0.3333 0.5304 [1 per cell]  4 Ag 2.08-2.20


<c>
ZnAg2O4: relaxed, PBE.

a = 6.0786 Å, b = 11.0673 Å, c = 11.6416 Å
α = 90.00°, β = 90.00°, γ = 90.00°
Closest atoms and distances in Å follow each position.
Space group Fddd (No. 70, origin choice 2)
Asymmetric unit:
1 Zn 0.1250 0.1250 0.1250 [8 per cell]  4 O 1.98
2 Ag 0.1250 0.1250 0.4918 [16 per cell]  4 O 2.04-2.08
3 O 0.0583 0.3053 0.4985 [32 per cell]  1 Zn 1.98, 2 Ag 2.04-2.08


<d>
ZnAg2O4: relaxed, PBE.

a = 5.8855 Å, b = 5.8855 Å, c = 11.3977 Å
α = 90.00°, β = 90.00°, γ = 90.00°
Closest atoms and distances in Å follow each position.
Space group I4_1/amd (No. 141, origin choice 2)
Asymmetric unit:
1 Zn 0.0000 0.2500 0.3750 [4 per cell]  4 O 2.00
2 Ag 0.0000 0.0000 0.0000 [8 per cell]  4 O 2.04
3 O 0.0000 0.0100 0.7374 [16 per cell]  1 Zn 2.00, 2 Ag 2.04


Going by the computed energies, the most stable comes first: <d>, <c>, <a>, <b>.